A plane-wave DFT calculation with GGA+U was carried out for a relaxed Co2P2O11 crystal.

VASP energy: -5.88 eV/atom
SG: Pbca, No. 61

Cell: 7.9401 15.7826 12.6775 Å, 90.00 90.00 90.00°
Atoms (fractional coordinates):
Co 0.4687 0.7505 0.3788
Co 0.9687 0.7495 0.6212
Co 0.5313 0.2505 0.1212
Co 0.0313 0.2495 0.8788
Co 0.5313 0.2495 0.6212
Co 0.0313 0.2505 0.3788
Co 0.4687 0.7495 0.8788
Co 0.9687 0.7505 0.1212
Co 0.8447 0.7484 0.3796
Co 0.3447 0.7516 0.6204
Co 0.1553 0.2484 0.1204
Co 0.6553 0.2516 0.8796
Co 0.1553 0.2516 0.6204
Co 0.6553 0.2484 0.3796
Co 0.8447 0.7516 0.8796
Co 0.3447 0.7484 0.1204
P 0.6539 0.6318 0.2038
P 0.1539 0.8682 0.7962
P 0.3461 0.1318 0.2962
P 0.8461 0.3682 0.7038
P 0.3461 0.3682 0.7962
P 0.8461 0.1318 0.2038
P 0.6539 0.8682 0.7038
P 0.1539 0.6318 0.2962
P 0.6588 0.6306 0.5570
P 0.1588 0.8694 0.4430
P 0.3412 0.1306 0.9430
P 0.8412 0.3694 0.0570
P 0.3412 0.3694 0.4430
P 0.8412 0.1306 0.5570
P 0.6588 0.8694 0.0570
P 0.1588 0.6306 0.9430
O 0.5034 0.6869 0.5257
O 0.0034 0.8131 0.4743
O 0.4966 0.1869 0.9743
O 0.9966 0.3131 0.0257
O 0.4966 0.3131 0.4743
O 0.9966 0.1869 0.5257
O 0.5034 0.8131 0.0257
O 0.0034 0.6869 0.9743
O 0.8172 0.6855 0.5257
O 0.3172 0.8145 0.4743
O 0.1828 0.1855 0.9743
O 0.6828 0.3145 0.0257
O 0.1828 0.3145 0.4743
O 0.6828 0.1855 0.5257
O 0.8172 0.8145 0.0257
O 0.3172 0.6855 0.9743
O 0.6519 0.6753 0.3148
O 0.1519 0.8247 0.6852
O 0.3481 0.1753 0.1852
O 0.8481 0.3247 0.8148
O 0.3481 0.3247 0.6852
O 0.8481 0.1753 0.3148
O 0.6519 0.8247 0.8148
O 0.1519 0.6753 0.1852
O 0.3080 0.6609 0.3614
O 0.8080 0.8391 0.6386
O 0.6920 0.1609 0.1386
O 0.1920 0.3391 0.8614
O 0.6920 0.3391 0.6386
O 0.1920 0.1609 0.3614
O 0.3080 0.8391 0.8614
O 0.8080 0.6609 0.1386
O 0.9874 0.6533 0.3549
O 0.4874 0.8467 0.6451
O 0.0126 0.1533 0.1451
O 0.5126 0.3467 0.8549
O 0.0126 0.3467 0.6451
O 0.5126 0.1533 0.3549
O 0.9874 0.8467 0.8549
O 0.4874 0.6533 0.1451
O 0.6591 0.8123 0.4064
O 0.1591 0.6877 0.5936
O 0.3409 0.3123 0.0936
O 0.8409 0.1877 0.9064
O 0.3409 0.1877 0.5936
O 0.8409 0.3123 0.4064
O 0.6591 0.6877 0.9064
O 0.1591 0.8123 0.0936
O 0.4063 0.7935 0.2480
O 0.9063 0.7065 0.7520
O 0.5937 0.2935 0.2520
O 0.0937 0.2065 0.7480
O 0.5937 0.2065 0.7520
O 0.0937 0.2935 0.2480
O 0.4063 0.7065 0.7480
O 0.9063 0.7935 0.2520
O 0.6644 0.5364 0.2183
O 0.1644 0.9636 0.7817
O 0.3356 0.0364 0.2817
O 0.8356 0.4636 0.7183
O 0.3356 0.4636 0.7817
O 0.8356 0.0364 0.2183
O 0.6644 0.9636 0.7183
O 0.1644 0.5364 0.2817
O 0.6540 0.6113 0.6753
O 0.1540 0.8887 0.3247
O 0.3460 0.1113 0.8247
O 0.8460 0.3887 0.1753
O 0.3460 0.3887 0.3247
O 0.8460 0.1113 0.6753
O 0.6540 0.8887 0.1753
O 0.1540 0.6113 0.8247
O 0.6618 0.5449 0.4977
O 0.1618 0.9551 0.5023
O 0.3382 0.0449 0.0023
O 0.8382 0.4551 0.9977
O 0.3382 0.4551 0.5023
O 0.8382 0.0449 0.4977
O 0.6618 0.9551 0.9977
O 0.1618 0.5449 0.0023
O 0.9033 0.4968 0.4406
O 0.4033 0.0032 0.5594
O 0.0967 0.9968 0.0594
O 0.5967 0.5032 0.9406
O 0.0967 0.5032 0.5594
O 0.5967 0.9968 0.4406
O 0.9033 0.0032 0.9406
O 0.4033 0.4968 0.0594